[1]
The following is a DFT calculation (PBE) of a relaxed structure of Tm2Mn12GaGe11.

Results
ΔH_f (0 K) = -0.31 eV per atom
final energy = -6.960 eV/atom
symmetry = P6mm

Cell and atoms, written as extended XYZ:
```
26
Lattice="2.4859 4.5310 0.2339 2.6290 -4.3440 -1.0051 -2.4811 2.1782 -15.9134" Properties=species:S:1:pos:R:3 pbc="T T T"
Ge 1.6700 5.2472 -4.9988
Tm -1.2404 1.0890 -7.9557
Ge 0.6729 3.2062 -12.1147
Tm 2.4840 4.5324 0.2225
Ge 0.8190 5.9941 -10.4563
Ge 1.2928 2.6617 -8.1370
Mn 2.8686 3.1769 -6.2443
Ge 0.7202 0.2481 -12.5276
Mn 0.3870 1.9991 -14.3069
Mn -0.8560 -0.2664 -14.4238
Ge 1.9163 2.1144 -4.1390
Mn -0.2365 -0.8102 -10.4507
Ge 0.4303 6.3356 -12.9503
Ge 1.9636 -0.8437 -4.5519
Mn 1.0065 1.4553 -10.3338
Mn 2.2494 0.3639 -2.3613
Ga 2.0575 4.9070 -2.5134
Ge 2.5326 1.5735 -0.1862
Ge 1.3404 -0.2965 -8.5499
Mn -0.3082 3.6273 -9.8318
Mn 0.9349 2.5359 -1.8588
Ge 2.5801 -1.3847 -0.5991
Mn -0.9275 4.1709 -13.8036
Mn 0.3112 3.0834 -5.8588
Mn 1.6258 0.9114 -6.3613
Mn 3.4923 2.6294 -2.2443
```

***

[2]
The following is a DFT calculation (PBE) of a relaxed structure of Y3Mn3Ga2Ge.

Results
ΔH_f (0 K) = -0.37 eV per atom
final energy = -6.765 eV/atom
symmetry = P-6

Cell and atoms, written as extended XYZ:
```
9
Lattice="1.5843 6.4161 2.3896 -4.7340 -3.9400 3.3840 3.0163 -1.6157 2.3384" Properties=species:S:1:pos:R:3 pbc="T T T"
Ge -0.5218 2.9641 2.7211
Y -0.1943 2.4297 5.6022
Ga 0.0000 0.0000 0.0000
Mn -1.9111 -1.0789 1.7197
Y 2.2883 3.6754 3.2605
Mn -2.2475 0.9978 3.5885
Y 0.8651 0.3635 2.8080
Ga -1.1198 -1.2958 4.2217
Mn -3.7250 -1.3828 3.8494
```

***

[3]
The following is a DFT calculation (PBE) of a relaxed structure of Ga2Ge3N4.

Results
ΔH_f (0 K) = -0.04 eV per atom
final energy = -5.798 eV/atom
symmetry = C2/c

Cell and atoms, written as extended XYZ:
```
18
Lattice="6.2268 -0.2449 -0.4705 -4.9675 6.3479 0.0000 -0.3889 -0.3043 6.7173" Properties=species:S:1:pos:R:3 pbc="T T T"
Ge -0.5803 1.7414 4.0172
Ga 1.6036 1.9874 -0.0059
N -0.5667 1.6866 6.0189
Ge 1.4507 4.0573 2.2296
Ga 2.1202 0.9267 3.3528
Ga -1.2498 4.8721 2.8941
Ge -2.0237 2.3858 1.6793
N 4.1426 0.2541 3.5866
N -1.4929 3.5360 4.3436
N -3.2722 5.5446 2.6603
N 2.3633 2.2627 1.9033
N -1.6997 4.2009 0.9849
Ga -0.7333 3.8113 6.2527
N 1.4370 4.1122 0.2279
N 2.5700 1.5978 5.2619
Ge -3.2222 5.5181 0.6585
Ge -3.3327 3.6578 5.0380
Ge 4.0926 0.2806 5.5883
```

***

[4]
The following is a DFT calculation (PBE) of a relaxed structure of Na4Ga3Ge3O16.

Results
ΔH_f (0 K) = -1.76 eV per atom
final energy = -5.466 eV/atom
symmetry = P-43n

Cell and atoms, written as extended XYZ:
```
52
Lattice="-2.8380 -7.3347 4.8825 7.2836 -4.8395 -3.0364 4.9584 2.9108 7.2549" Properties=species:S:1:pos:R:3 pbc="T T T"
Ge 4.8814 -1.6920 0.2955
O 2.5082 -8.6990 3.5018
Ga 1.5133 -7.9208 2.1437
Na 2.1211 -5.5569 4.6641
O -1.7023 -6.9276 4.8325
O 1.1628 -6.1652 2.6284
O 1.4666 -5.2461 7.9578
Ga -0.1794 -2.9397 4.2550
O 5.6053 -0.4562 3.9837
O 8.0669 -1.3425 5.1109
Ga 7.9419 -2.1742 1.3501
O 4.0801 -5.5410 0.3842
Ge 0.4019 -4.8772 1.6821
O 8.7347 -3.5493 2.3096
O 8.6959 -8.5658 8.4156
O 4.8465 -5.8608 9.1248
Na 4.7898 -2.0500 5.4762
O 3.6865 -2.4578 8.6369
Ga 2.2998 -1.4843 7.8824
O 4.6634 -5.7677 4.1432
Na 4.5334 -9.5925 2.7718
O 2.6780 -0.5228 3.3357
O 1.7746 -7.4623 5.9611
Na 3.0041 -4.4951 9.5404
O 6.8948 -4.8082 -1.8937
O 5.2612 -7.9849 1.2491
Ge 7.3606 -0.2366 3.9229
O 9.2980 -4.7037 5.7028
O 7.4525 -5.1366 7.8294
O 0.5421 -4.0772 5.5299
O 5.8377 -4.2246 4.5005
O 4.9198 1.7748 6.8475
O 0.5624 -3.3804 2.6131
Ga 2.9323 -4.2534 -0.2976
Ge 4.0437 -7.2970 0.1639
Ge 0.3507 -4.0457 7.2893
O 6.1805 -2.6518 1.0198
Na 1.6095 -1.5854 1.5576
Na 9.6612 -2.8539 4.3321
Ga 4.3001 0.2455 2.8683
O 5.9288 -9.2086 4.5988
O 4.3132 -4.6004 5.6932
Na 5.5857 -4.7028 1.9536
O 8.0326 -7.3296 4.9979
O 3.3864 -2.6245 0.4644
O 3.9938 -3.9341 3.8651
Ge 1.7697 -0.3783 4.8481
O 2.7494 -1.1248 6.1192
O 7.4840 -5.9951 1.5549
Na 6.3115 -6.2171 6.1081
O 5.2478 -7.9566 7.2374
O 6.1127 -1.6840 7.3599
```

***

[5]
The following is a DFT calculation (PBE) of a relaxed structure of NaGaGeO4.

Results
ΔH_f (0 K) = -2.22 eV per atom
final energy = -5.941 eV/atom
symmetry = P2_1/c

Cell and atoms, written as extended XYZ:
```
84
Lattice="-0.4982 0.0846 8.4519 -1.0653 -8.9101 0.0264 14.6672 -10.7340 0.9720" Properties=species:S:1:pos:R:3 pbc="T T T"
O 1.6222 -8.5327 6.4382
Ge 0.0260 -8.5026 7.1935
Ge 2.8180 -10.0377 3.0805
Na 12.8267 -17.0439 1.1157
Na 0.2770 -2.5156 8.3346
Ge 0.4202 -5.4575 2.8949
O 11.4815 -11.0267 3.0122
O 11.9078 -12.7075 7.3312
Ga 7.5406 -10.8906 7.1756
Ge 5.6565 -5.6750 3.2560
Ge 7.8354 -10.8384 1.9959
O 11.5139 -15.4121 6.3292
O 7.7748 -14.6275 4.6218
O 9.4021 -10.7940 7.2331
Ge 10.2857 -9.5217 6.3698
O 13.6562 -15.6840 2.9309
O 6.9062 -11.3725 8.8456
O 13.1716 -18.9427 3.1603
Ga 9.9765 -15.4253 7.3682
O 2.4786 -4.1894 0.3461
O 6.1354 -7.3680 3.4677
O 4.1602 -5.6618 2.3180
Ga 12.7746 -11.0605 7.4524
O 9.5817 -9.5172 4.7430
O 12.0179 -9.8553 6.2554
Ga 2.6740 -10.0636 6.3558
O -0.5525 -3.8755 6.5195
O -0.1968 -6.0447 4.4475
O 1.1959 -6.8520 2.1192
Na 2.9174 -7.0930 4.7197
Ga 12.8660 -14.0306 3.2799
Ge 7.4472 -13.8844 6.1943
Na 0.9159 -2.2659 4.7378
O 6.9683 -12.1914 5.9826
Ga 5.5631 -8.6688 2.2747
Ga 0.3291 -8.4990 1.9980
Ge 5.2683 -8.7211 7.4544
O 13.5761 -12.7532 2.1367
O 8.5267 -15.0893 1.8609
O -0.0679 -0.6168 6.2900
O 4.0787 -10.0279 7.5678
O 8.9435 -13.8976 7.1324
Na 10.0295 -12.4223 8.9620
Na 7.8375 -7.9211 4.9714
O -0.4724 -6.8062 7.3137
O 12.4397 -10.2611 9.0941
O 2.0931 -5.4312 6.3301
Ge 2.8707 -4.1409 7.2657
O 9.0250 -9.5316 1.8825
Ga 0.2377 -5.5288 6.1705
O 10.6251 -15.3701 9.1042
O 1.5898 -4.1473 3.1212
O 9.9071 -7.9510 7.0918
O 6.7989 -9.2455 6.7033
Ga 5.4677 -5.6980 6.5139
Ge 10.2330 -15.4185 2.1846
O 2.5814 -2.5853 6.4730
O 5.8467 -13.5772 2.5273
Na 12.1877 -17.2935 4.7125
O 13.3005 -13.5148 5.0028
O 3.7016 -8.7654 2.2172
Ge 12.6835 -14.1019 6.5554
O 10.5223 -16.9741 2.9773
Ga 3.1272 -4.1341 2.0821
O 1.0858 -9.7041 3.1949
Na 10.1863 -12.4665 4.7306
Na 5.2662 -11.6384 4.4790
Ge 13.0777 -11.0568 2.2568
O 3.1966 -11.6085 2.3585
O 8.5129 -12.2161 2.8851
Ga 10.4297 -9.4958 3.0945
Na 8.0498 -7.5990 8.6126
Na 5.0539 -11.9605 0.8377
O 4.5770 -4.4701 7.5894
Ga 7.6360 -13.8614 2.9364
O 0.6640 -9.2983 0.3562
O 6.3048 -10.3140 2.7470
Na 3.0742 -7.1371 0.4883
O 4.5908 -7.3433 6.5653
O 11.0106 -14.1282 3.1202
O 6.1975 -8.1869 0.6048
O 3.5220 -10.0422 4.7073
O 5.3289 -4.9320 4.8286
O 7.2570 -5.9823 6.9230
```

***

[6]
The following is a DFT calculation (PBE) of a relaxed structure of NaGaGeO4.

Results
ΔH_f (0 K) = -2.23 eV per atom
final energy = -5.943 eV/atom
symmetry = P2_1/c

Cell and atoms, written as extended XYZ:
```
84
Lattice="8.4368 0.0000 0.0000 0.0000 9.0181 0.0000 0.0000 8.9425 15.7629" Properties=species:S:1:pos:R:3 pbc="T T T"
Ga 2.7652 9.7325 4.1212
Ge 2.3790 12.9041 9.3283
O 2.3322 12.7425 12.7402
O 2.1849 15.8116 12.5795
Ge 1.8394 8.4328 1.4469
O 5.4759 11.1929 8.6116
Na 0.2701 15.5391 14.6657
O 1.8464 6.7776 2.0960
O 4.4683 4.3388 6.1395
O 1.9900 12.8293 7.5966
Ga 2.7749 5.0596 6.4513
Ge 6.0578 5.0566 6.4346
O 8.1869 8.8101 14.0210
Ga 6.9933 8.4298 1.4302
Na 0.2151 6.7105 3.9024
Ge 1.8250 8.0192 6.6126
O 0.2275 7.3900 7.0329
Na 4.4729 2.1074 1.3608
Ge 6.0335 9.7150 4.1708
O 7.1797 9.5758 5.5226
O 2.9610 6.7678 7.1513
Ge 6.0434 5.4702 1.2689
Ga 5.6619 12.9011 9.3116
Na 0.2545 11.3820 6.5207
O 7.2003 3.9977 5.5840
O 5.4550 8.4689 13.4655
O 8.2140 14.1548 12.8182
Ge 1.8151 3.7744 3.7107
O 2.3720 11.2489 9.9775
O 2.9818 9.4917 2.2974
O 1.2574 11.2391 15.0328
Ga 6.9851 8.0921 6.6294
O 6.5904 11.1830 13.6669
O 6.4468 5.1313 8.1664
Na 4.4335 6.7789 3.9791
O 7.1794 6.7216 0.7301
O 2.0261 14.0131 15.3294
O 2.1923 9.5418 7.4480
O 6.1046 5.2182 3.0227
Ga 1.4518 9.8685 9.1335
O 0.2499 9.1506 1.7419
O 3.9909 11.8613 14.9143
O 0.2229 3.8058 2.9447
Ga 6.9836 3.7569 3.7602
O 6.1400 8.3182 3.0753
O 6.0648 6.7118 5.7855
Ga 1.4435 9.5309 14.3328
O 6.5152 12.7895 10.9567
Ge 6.6217 14.1862 12.0522
O 8.2093 10.5706 8.7300
Ga 2.7666 5.3973 1.2521
O 3.9685 13.6219 9.6234
O 4.4459 6.0994 0.8486
O 6.2084 0.6601 0.2849
O 6.4033 6.6203 11.0649
O 2.2968 9.6424 12.6876
Na 8.1823 6.5786 9.2422
O 1.2572 8.3849 10.2403
Ge 6.5975 9.5278 14.3160
O 1.8862 8.2712 4.8587
Ge 2.3934 12.4905 14.4941
O 2.0335 11.3403 4.6980
O 6.2519 2.1491 3.1834
O 4.4413 9.6836 4.9368
Na 3.9639 15.8533 14.4022
Na 8.2217 11.2501 11.8605
Ge 6.6118 9.9415 9.1503
Na 4.4885 6.8929 8.9787
O 6.2445 8.4188 8.3149
Na 8.1668 2.4216 1.0972
Na 3.9483 11.0678 6.7842
Ga 5.6717 8.2282 11.6417
O 5.4756 14.0470 13.4041
O 6.4107 3.9476 0.4335
Ge 2.4033 8.2457 11.5921
Ga 5.6702 12.5634 14.5108
O 2.2284 17.3006 15.4780
Ga 1.4532 14.2038 12.0027
O 1.2366 13.9630 10.1789
O 3.9956 8.2771 10.8262
O 1.9216 5.1712 4.8062
O 6.5506 9.6895 10.9042
O 2.9613 3.9136 2.3588
Na 4.0033 11.1818 11.7839
```

***

[7]
The following is a DFT calculation (PBE) of a relaxed structure of NaGaGe2O6.

Results
ΔH_f (0 K) = -2.18 eV per atom
final energy = -6.092 eV/atom
symmetry = C2/c

Cell and atoms, written as extended XYZ:
```
20
Lattice="-5.7033 -3.4088 1.1375 1.6063 -2.2396 6.1518 -2.8505 3.3821 3.3667" Properties=species:S:1:pos:R:3 pbc="T T T"
O -6.9270 -1.2325 6.0202
O -3.4443 -4.5407 7.3677
O -3.5032 2.2744 3.2883
Ge -5.6779 -1.6825 7.1475
O -0.0204 -1.0338 4.6358
Ge -4.0902 0.8840 4.2347
O -4.3831 1.2953 5.9353
O -2.5643 -3.5616 4.7207
O -2.8184 -0.3734 4.3476
Ga -7.1488 -0.7615 4.1375
Ge -2.8573 -3.1503 6.4214
O -1.4991 -2.2833 7.0826
O -6.0508 -3.0386 8.2408
O -0.8967 0.7723 2.4153
Na -4.2085 -2.2102 3.4934
O -5.4484 0.0170 3.5734
Ge -1.2696 -0.5838 3.5085
Na -2.7390 -0.0561 7.1626
O -4.1291 -1.8929 6.3084
Ga 0.2013 -1.5049 6.5185
```

***

[8]
The following is a DFT calculation (PBE) of a relaxed structure of Na3GaGe3P6O24.

Results
ΔH_f (0 K) = -2.49 eV per atom
final energy = -6.692 eV/atom
symmetry = P1

Cell and atoms, written as extended XYZ:
```
111
Lattice="8.4534 -0.0162 0.0011 -4.2407 7.3142 0.0002 0.0026 0.0022 21.7796" Properties=species:S:1:pos:R:3 pbc="T T T"
P 1.1879 2.0789 16.3532
P -2.9854 5.2376 16.3484
O 3.3187 3.6055 20.1169
O 2.6309 2.1508 0.5523
Ga 4.2368 7.2554 7.6688
Na 2.6895 4.6177 16.3163
P 2.4305 4.8611 19.9713
O 4.7888 1.0668 9.2418
O 0.5589 3.5087 16.4977
O 6.9913 0.1638 1.9492
O 5.1540 3.5812 9.2474
O 2.6940 7.1500 8.9783
Na -0.0418 4.9196 3.5919
O 0.8782 3.6917 1.6261
O -0.5957 6.2252 12.5299
O 3.6551 1.0681 20.1238
O 3.1720 1.1826 11.4313
O -2.7600 7.1169 19.8069
O 1.6087 4.5948 18.6647
P 1.1808 6.9550 9.1002
P 6.6784 2.4273 12.7011
O 5.7027 2.2545 5.3191
P -2.4429 4.9018 9.1031
O 1.6176 0.2961 6.6907
O 1.0514 3.6301 7.7942
O 0.5269 3.3965 10.3165
O 5.2757 1.1822 0.5318
O 5.8530 2.7153 13.9370
O 2.7028 2.2767 16.2251
Ge 4.1852 2.4295 10.4983
O 6.8902 0.2420 17.6142
O 2.7796 2.6602 9.2419
O 3.6508 0.8676 13.9547
O 4.7476 5.8130 17.5925
O 3.1675 6.0823 4.1816
Na 4.2574 2.3817 18.1632
O 3.6693 3.9485 11.4548
Na 4.2245 2.4295 7.2120
P -1.2258 6.9834 19.9762
O -0.5456 3.5065 5.5946
O 3.3211 1.2169 5.2954
O 7.4144 1.2955 6.7620
Ga 4.2671 2.4215 4.0100
O -0.5488 3.3703 21.2148
O 5.2915 3.7060 3.0555
Na 6.9207 2.1724 9.0502
O -1.4547 5.1014 16.5009
Ge 4.2296 2.4275 21.3771
P 1.7685 2.4357 1.8124
O 4.8076 3.8436 16.2195
Na -0.0640 4.8790 14.4939
O 7.5665 1.1615 12.8383
O 1.4584 4.6908 12.5291
Ge 0.0036 0.0100 18.6171
Na 1.5539 2.6441 5.4122
P -1.2269 2.7706 19.9778
O -1.0518 3.6355 18.6985
O 3.5749 3.7934 5.3034
O 4.7933 0.8573 3.0535
P 2.9880 4.5503 12.7152
O 2.5509 2.7093 3.0935
P 3.0016 0.3072 12.7062
P 5.4504 0.3066 1.8061
O -0.5716 1.3772 19.8131
O 0.9892 6.0898 10.3515
O -0.9203 6.0128 5.5908
O -3.3215 6.1237 8.9737
O 4.7733 3.9534 0.5292
O 5.6945 2.6153 20.1220
O 0.5888 1.4120 8.9706
O -0.8801 3.6935 12.5220
O 0.5726 6.2183 1.6206
O 1.4441 5.0442 5.5833
Na -4.2061 7.2673 10.8875
O 1.5599 5.1462 21.1979
O 3.1482 3.7312 13.9952
O -0.5584 6.3987 18.6997
P -1.7951 7.2837 5.4415
O 5.1428 1.2366 16.2266
O 4.7977 5.9464 1.9381
Na 8.4530 -0.0162 0.0195
P 5.4460 4.5414 1.8033
O 0.9999 1.2178 17.6115
O 0.8732 1.1738 1.9490
O -0.5034 1.5214 4.2274
Ge 0.0096 0.0079 14.0635
O -1.5787 4.5399 7.8514
O 3.3141 6.1234 19.8085
Ga 4.2500 2.3893 14.9237
O 3.6367 5.9546 12.8442
O -1.4733 4.7005 1.6225
P 7.1943 2.0894 5.4659
P 1.2505 2.7877 9.0900
Ge -0.0256 4.9120 6.8134
Ge -0.0089 4.8826 11.3416
Ge -0.0478 4.8784 17.7565
O -1.5760 5.1262 10.3519
O 3.6242 5.7662 6.7167
O 0.9260 6.0264 16.5027
O 0.5249 1.5047 15.0803
O 0.5156 6.3812 7.8299
P 6.0271 0.0169 16.3593
O 5.8514 2.1484 11.3986
O -3.1866 6.1009 15.0791
O 1.4609 0.1706 12.8362
P 3.0063 5.2073 5.4475
Ge -0.0129 4.8713 0.4435
O 2.6465 6.9718 15.1046
O -2.6537 7.0126 4.1788
O -1.0430 6.0967 21.2128
Ge 4.2115 7.2820 3.1746
```